! Al2Bi2O7, optimized geometry, DFT PBE-GGA; values from VASP
! Magnetization   2.261 μB/f.u.
! Electronic total energy   -5.8303 eV/atom
&SYSTEM
  ibrav = 0, nat = 22, ntyp = 3
/
ATOMIC_SPECIES
Al 26.98 Al.upf
Bi 208.98 Bi.upf
O 16.00 O.upf
ATOMIC_POSITIONS angstrom
Al 0.0000 0.0000 0.0000
Al 2.5402 2.5402 0.0000
Al 2.5402 0.0000 2.5402
Al 0.0000 2.5402 2.5402
Bi 5.0803 2.5402 2.5402
Bi 2.5402 5.0803 2.5402
Bi 2.5402 2.5402 5.0803
Bi 5.0803 5.0803 5.0803
O 3.8102 3.8102 0.9261
O 3.8102 0.9261 3.8102
O 6.6943 3.8102 3.8102
O 1.2701 1.2701 1.2701
O 6.3504 6.3504 3.4663
O 6.3504 3.4663 6.3504
O 9.2345 6.3504 6.3504
O 0.9261 3.8102 3.8102
O 3.8102 6.6943 3.8102
O 3.8102 3.8102 6.6943
O 8.8906 8.8906 8.8906
O 3.4663 6.3504 6.3504
O 6.3504 9.2345 6.3504
O 6.3504 6.3504 9.2345
CELL_PARAMETERS angstrom
0.0000 5.0803 5.0803
5.0803 0.0000 5.0803
5.0803 5.0803 0.0000

! AlBi3O9, optimized geometry, DFT PBE-GGA; values from VASP
! Magnetization   0.000 μB/f.u.
! Electronic total energy   -5.7147 eV/atom
&SYSTEM
  ibrav = 0, nat = 26, ntyp = 3
/
ATOMIC_SPECIES
Al 26.98 Al.upf
Bi 208.98 Bi.upf
O 16.00 O.upf
ATOMIC_POSITIONS angstrom
Al 4.6412 2.6136 6.6224
Al 5.1544 -2.6136 0.0000
Bi 0.6100 0.0518 3.1279
Bi 0.0969 -0.0518 9.7503
Bi 3.2779 0.0122 11.7154
Bi 3.7911 -0.0122 5.0930
Bi 7.4768 0.0747 0.8773
Bi 6.9637 -0.0747 7.4997
O 4.3142 2.0382 1.6570
O 2.2854 0.9608 4.0148
O 3.4044 1.1296 6.8714
O 5.1355 1.7432 4.9955
O 5.9773 1.8298 7.7369
O 4.1586 0.8081 9.9914
O 4.9597 1.0140 12.8858
O 1.7722 -0.9608 10.6372
O 6.9611 0.9801 2.6834
O 3.9176 -1.1296 0.2489
O 4.6717 -0.8081 3.3689
O 8.1769 0.7711 5.8274
O 5.4729 -1.0140 6.2634
O 3.8010 -2.0382 8.2794
O 4.6223 -1.7432 11.6179
O 6.4480 -0.9801 9.3058
O 7.6637 -0.7711 12.4498
O 6.4905 -1.8298 1.1145
CELL_PARAMETERS angstrom
5.1544 -2.6461 0.0000
5.1544 2.6461 0.0000
-1.0263 0.0000 13.2449

Q: Which value of magnetization does entry 2 give?
A: 0.000 μB/f.u.

Q: Which value of magnetization does entry 1 give?
A: 2.261 μB/f.u.